! LiNiPO4 | the Materials Project | PBE with a Hubbard U | relaxed; values from VASP
&SYSTEM
  ibrav = 0, nat = 28, ntyp = 4
/
ATOMIC_SPECIES
Li 6.94 Li.upf
Ni 58.69 Ni.upf
P 30.97 P.upf
O 16.00 O.upf
CELL_PARAMETERS angstrom
4.732 0.000 0.000
0.000 5.927 0.000
0.000 0.000 10.144
ATOMIC_POSITIONS angstrom
Li 0.009 1.479 2.525
Li 2.358 4.448 7.597
Li 2.375 1.484 7.619
Li 4.724 4.442 2.547
Ni 0.087 2.968 9.883
Ni 2.279 2.959 4.811
Ni 2.453 5.922 0.261
Ni 4.645 0.005 5.333
P 0.394 0.006 8.564
P 1.972 5.920 3.492
P 2.760 2.957 1.580
P 4.338 2.970 6.652
O 0.951 0.007 7.112
O 1.062 4.703 9.287
O 1.065 1.235 9.286
O 1.140 2.969 6.596
O 1.226 2.958 1.524
O 1.301 4.692 4.214
O 1.304 1.224 4.215
O 1.415 5.920 2.040
O 3.317 2.956 3.032
O 3.428 4.187 0.857
O 3.431 1.729 0.858
O 3.506 5.921 3.548
O 3.592 0.005 8.620
O 3.667 4.198 5.930
O 3.670 1.740 5.929
O 3.781 2.970 8.104
! **Electronic total energy**: -6.31 eV per atom
! **Energy with MP2020 corrections**: -0.51923 Ry/atom
! **Calculated formation energy**: -2365.4 meV/atom
! **V**: 284 Å³ per cell
! **Distance to the lowest polymorph of the same formula**: 0.0 meV/atom


! Li3Ni2P3O12 | the Materials Project | PBE with a Hubbard U | relaxed; values from VASP
&SYSTEM
  ibrav = 0, nat = 80, ntyp = 4
/
ATOMIC_SPECIES
Li 6.94 Li.upf
Ni 58.69 Ni.upf
P 30.97 P.upf
O 16.00 O.upf
CELL_PARAMETERS angstrom
7.182 -6.598 0.000
7.182 6.598 0.000
-0.951 0.000 9.650
ATOMIC_POSITIONS angstrom
Li 1.622 0.000 0.177
Li 4.927 2.686 3.843
Li 3.476 0.723 2.343
Li 4.355 -0.993 4.622
Li 3.414 -2.211 1.749
Li 8.486 2.686 5.807
Li 3.728 -3.269 7.746
Li 9.938 0.723 7.307
Li 9.058 -0.993 5.027
Li 11.791 0.000 9.473
Li 10.000 -2.211 7.901
Li 9.685 -3.269 1.904
Ni 0.855 -0.555 6.921
Ni 4.831 2.287 7.576
Ni 7.182 0.883 0.000
Ni 8.582 2.287 2.074
Ni 7.182 -1.993 0.000
Ni 6.707 -2.869 4.825
Ni 6.707 -5.734 4.825
Ni 12.558 -0.555 2.728
P 4.962 5.000 5.732
P 2.253 2.278 5.525
P 5.484 3.355 0.939
P 8.451 5.000 3.918
P 3.476 -0.509 8.948
P 7.929 3.355 8.711
P 6.764 -0.199 2.903
P 6.649 -0.199 6.747
P 11.160 2.278 4.125
P 9.937 -0.509 0.702
P 6.220 -4.634 7.732
P 7.193 -4.634 1.917
O 4.834 4.759 4.200
O 6.107 6.038 6.055
O 1.341 0.997 5.623
O 5.949 4.780 1.317
O 2.977 2.443 6.879
O 7.306 6.038 3.594
O 3.160 2.112 4.306
O 4.175 3.467 9.083
O 4.335 2.836 1.813
O 5.463 3.647 6.285
O 7.464 4.780 8.333
O 8.580 4.759 5.450
O 2.709 -0.513 7.614
O 3.522 -0.454 0.549
O 2.599 -1.120 3.308
O 6.687 2.368 1.198
O 7.950 3.647 3.365
O 4.388 0.777 8.917
O 6.726 2.368 8.451
O 5.613 0.898 6.388
O 5.347 0.176 3.356
O 9.239 3.467 0.566
O 9.078 2.836 7.837
O 7.800 0.898 3.261
O 4.322 -1.812 8.949
O 6.704 -0.482 1.350
O 10.436 2.443 2.771
O 6.709 -0.482 8.300
O 6.053 -1.454 6.064
O 9.025 0.777 0.733
O 10.254 2.112 5.343
O 8.066 0.176 6.293
O 4.815 -3.001 4.229
O 7.361 -1.454 3.586
O 6.649 -3.319 1.337
O 4.776 -4.959 8.149
O 9.091 -1.812 0.701
O 6.765 -3.319 8.313
O 9.891 -0.454 9.101
O 12.072 0.997 4.027
O 10.704 -0.513 2.036
O 6.225 -4.379 6.168
O 7.188 -4.379 3.481
O 8.598 -3.001 5.421
O 6.220 -5.761 1.498
O 10.814 -1.120 6.342
O 8.638 -4.959 1.501
O 7.193 -5.761 8.152
! **Electronic total energy**: -6.23 eV per atom
! **Energy with MP2020 corrections**: -0.50698 Ry/atom
! **Calculated formation energy**: -2252.7 meV/atom
! **V**: 915 Å³ per cell
! **Distance to the lowest polymorph of the same formula**: 20.8 meV/atom


! LiNiPO4 | the Materials Project | PBE with a Hubbard U | relaxed; values from VASP
&SYSTEM
  ibrav = 0, nat = 28, ntyp = 4
/
ATOMIC_SPECIES
Li 6.94 Li.upf
Ni 58.69 Ni.upf
P 30.97 P.upf
O 16.00 O.upf
CELL_PARAMETERS angstrom
3.048 -3.771 0.000
3.048 3.771 0.000
-2.865 0.000 15.893
ATOMIC_POSITIONS angstrom
Li 0.765 2.395 8.970
Li 1.034 2.395 14.869
Li 2.198 -2.395 1.024
Li 2.466 -2.395 6.923
Ni 0.826 0.586 3.983
Ni -0.607 -0.586 11.930
Ni 3.839 0.586 3.963
Ni 2.406 -0.586 11.909
P 1.702 2.455 5.737
P 2.962 2.455 2.209
P 0.270 -2.455 13.684
P 1.530 -2.455 10.155
O -0.594 0.045 5.465
O -2.026 -0.045 13.411
O 1.151 2.386 7.147
O -0.336 1.299 11.212
O 2.153 1.176 2.556
O 3.513 2.386 0.799
O 2.511 1.176 5.390
O 1.096 -1.299 3.266
O 2.136 1.299 12.627
O 0.721 -1.176 10.503
O -0.282 -2.386 15.093
O 1.079 -1.176 13.336
O 3.568 -1.299 4.680
O 2.081 -2.386 8.746
O 5.258 0.045 2.481
O 3.826 -0.045 10.427
! **Electronic total energy**: -6.22 eV per atom
! **Energy with MP2020 corrections**: -0.51271 Ry/atom
! **Calculated formation energy**: -2276.5 meV/atom
! **V**: 365 Å³ per cell
! **Distance to the lowest polymorph of the same formula**: 88.8 meV/atom


! Li2Ni4P4O15 | the Materials Project | PBE with a Hubbard U | relaxed; values from VASP
&SYSTEM
  ibrav = 0, nat = 100, ntyp = 4
/
ATOMIC_SPECIES
Li 6.94 Li.upf
Ni 58.69 Ni.upf
P 30.97 P.upf
O 16.00 O.upf
CELL_PARAMETERS angstrom
5.125 -6.882 0.000
5.125 6.882 0.000
-3.712 0.000 17.544
ATOMIC_POSITIONS angstrom
Li -0.039 3.278 13.063
Li -0.430 1.141 7.950
Li -2.286 -1.141 16.723
Li 4.721 3.278 13.254
Li 1.817 -3.278 4.291
Li 8.825 1.141 0.822
Li 6.968 -1.141 9.594
Li 6.577 -3.278 4.481
Ni 2.563 3.441 0.000
Ni 4.197 6.553 4.386
Ni 2.638 2.471 7.662
Ni 4.197 2.428 4.386
Ni 0.710 0.725 16.334
Ni 5.756 2.471 1.110
Ni 2.341 0.671 13.158
Ni 2.566 -0.725 7.562
Ni 0.707 -3.441 8.772
Ni 3.973 0.725 9.982
Ni 4.197 -0.671 4.386
Ni 0.782 -2.471 16.435
Ni 5.829 -0.725 1.210
Ni 2.341 -2.428 13.158
Ni 3.900 -2.471 9.882
Ni 2.341 -6.553 13.158
P 3.473 4.653 2.177
P 1.158 2.069 10.536
P 1.657 0.925 5.634
P 3.032 0.859 1.732
P 4.921 4.653 6.595
P -0.199 -0.925 14.406
P 1.176 -0.859 10.504
P 3.014 -2.069 1.764
P 3.524 2.069 15.781
P 5.362 0.859 7.040
P 6.737 0.925 3.139
P 1.617 -4.653 10.949
P 3.506 -0.859 15.813
P 4.881 -0.925 11.911
P 5.380 -2.069 7.009
P 3.065 -4.653 15.368
O 0.142 2.988 9.941
O 4.207 5.976 2.485
O 0.495 1.022 4.669
O 2.039 1.877 1.269
O 3.133 3.902 3.482
O 4.187 5.976 6.287
O -0.735 2.024 16.155
O 4.277 3.789 1.154
O 2.500 2.244 5.543
O 1.251 0.935 7.175
O 0.511 0.587 10.178
O -1.361 -1.022 13.442
O 1.330 2.150 12.054
O 4.118 3.789 7.618
O 2.503 2.137 9.775
O 2.367 -0.587 1.406
O 0.650 0.377 14.303
O 3.374 0.872 3.219
O -0.605 -0.935 15.947
O 5.262 3.902 5.290
O 0.183 -1.877 10.041
O 4.380 0.839 0.894
O 2.506 -0.377 5.530
O 2.179 2.137 16.542
O 1.121 -2.024 7.383
O 1.998 -2.988 1.169
O 1.518 -0.872 11.992
O 3.352 2.150 14.263
O 5.894 2.244 3.229
O 4.014 0.839 7.878
O 2.524 -0.839 9.666
O 0.644 -2.244 14.315
O 3.186 -2.150 3.282
O 5.020 0.872 5.553
O 4.540 2.988 16.375
O 5.417 2.024 10.162
O 4.359 -2.137 1.002
O 4.032 0.377 12.014
O 2.158 -0.839 16.650
O 6.355 1.877 7.503
O 1.277 -3.902 12.254
O 7.143 0.935 1.597
O 3.164 -0.872 14.325
O 5.889 -0.377 3.242
O 4.171 0.587 16.138
O 4.035 -2.137 7.770
O 2.421 -3.789 9.926
O 5.209 -2.150 5.491
O 7.899 1.022 4.103
O 6.027 -0.587 7.366
O 5.287 -0.935 10.369
O 4.038 -2.244 12.001
O 2.262 -3.789 16.391
O 7.273 -2.024 1.390
O 2.351 -5.976 11.258
O 3.406 -3.902 14.062
O 4.499 -1.877 16.275
O 6.043 -1.022 12.875
O 2.331 -5.976 15.059
O 6.397 -2.988 7.603
! **Electronic total energy**: -6.35 eV per atom
! **Energy with MP2020 corrections**: -0.52714 Ry/atom
! **Calculated formation energy**: -2259.7 meV/atom
! **V**: 1238 Å³ per cell


! LiNiP2O7 | the Materials Project | PBE with a Hubbard U | relaxed; values from VASP
&SYSTEM
  ibrav = 0, nat = 22, ntyp = 4
/
ATOMIC_SPECIES
Li 6.94 Li.upf
Ni 58.69 Ni.upf
P 30.97 P.upf
O 16.00 O.upf
CELL_PARAMETERS angstrom
7.614 -2.524 0.000
7.614 2.524 0.000
-3.095 0.000 8.028
ATOMIC_POSITIONS angstrom
Li 6.067 1.654 4.014
Li 7.614 -1.654 0.000
Ni 9.234 0.086 7.668
Ni 10.781 -0.086 3.653
P 1.053 0.782 5.253
P 3.688 0.744 6.183
P 2.600 -0.782 1.239
P 5.235 -0.744 2.168
O 3.236 1.872 7.182
O 1.537 0.145 0.798
O 4.185 1.436 4.872
O -0.011 -0.145 4.812
O 3.891 0.079 1.758
O 2.343 -0.079 5.772
O 6.217 0.202 2.746
O 4.670 -0.202 6.760
O 9.789 0.861 2.443
O 10.743 0.822 0.099
O 5.732 -1.436 0.858
O 4.784 -1.872 3.168
O 9.196 -0.822 4.113
O 8.242 -0.861 6.457
! **Electronic total energy**: -6.33 eV per atom
! **Energy with MP2020 corrections**: -0.51434 Ry/atom
! **Calculated formation energy**: -2166.1 meV/atom
! **V**: 309 Å³ per cell
! **Distance to the lowest polymorph of the same formula**: 132.2 meV/atom


! Li5Ni9P16O56 | the Materials Project | PBE with a Hubbard U | relaxed; values from VASP
&SYSTEM
  ibrav = 0, nat = 86, ntyp = 4
/
ATOMIC_SPECIES
Li 6.94 Li.upf
Ni 58.69 Ni.upf
P 30.97 P.upf
O 16.00 O.upf
CELL_PARAMETERS angstrom
9.671 0.000 0.000
-3.669 10.127 0.000
-1.046 -5.785 11.153
ATOMIC_POSITIONS angstrom
Li 0.000 0.000 0.000
Li -0.785 1.728 2.583
Li -0.503 2.157 7.119
Li 3.841 -2.039 9.191
Li 2.642 2.616 10.316
Ni -2.835 4.541 5.930
Ni -2.147 6.271 3.674
Ni -1.465 7.883 1.405
Ni -0.024 0.861 10.244
Ni 1.911 3.519 2.784
Ni 4.451 2.299 0.373
Ni 4.695 -0.093 7.066
Ni 7.119 -1.202 4.532
Ni 4.435 5.706 8.324
P -3.083 1.307 9.324
P -0.030 -2.366 6.196
P -0.634 4.668 1.165
P -2.097 5.322 9.143
P 2.198 0.874 2.202
P 1.539 -0.380 7.671
P 0.281 4.848 5.426
P -0.296 3.536 10.745
P 3.841 -0.961 3.919
P 3.533 5.446 0.705
P 5.619 -3.208 6.653
P 5.183 3.243 3.471
P 4.714 3.047 7.864
P 5.070 7.608 1.911
P 6.573 -3.244 10.923
P 6.840 1.421 5.084
O -0.845 -2.837 7.382
O -3.366 1.577 10.803
O -3.160 7.552 2.473
O -0.728 -1.283 5.389
O -2.227 2.521 5.952
O -3.190 6.571 5.363
O 0.098 -4.704 9.563
O -1.599 1.181 8.972
O -1.185 5.876 1.944
O -0.018 3.607 2.077
O 1.668 -0.242 1.306
O -1.133 4.989 4.839
O -1.916 5.120 7.643
O 0.275 5.089 0.034
O 1.173 1.510 3.146
O 1.331 -1.689 6.763
O -1.568 3.974 9.877
O 0.558 -0.494 8.856
O -0.752 8.049 3.398
O 0.263 8.080 0.425
O 1.041 0.876 6.967
O 0.361 3.804 6.529
O 2.481 -3.677 9.641
O 2.735 2.110 1.403
O 1.354 4.540 4.394
O 3.441 0.348 3.048
O 0.732 2.897 9.800
O 0.584 6.301 6.023
O 2.533 5.109 1.806
O 3.628 -0.633 5.386
O 2.982 -0.451 8.137
O 4.865 0.339 0.472
O 1.894 0.763 10.973
O 3.026 -1.528 11.073
O 5.314 -1.190 3.591
O 3.709 3.521 3.706
O 5.109 -2.064 7.513
O 2.622 5.787 7.425
O 4.166 1.886 7.072
O 5.108 -3.311 10.469
O 6.528 -2.822 5.494
O 5.496 2.842 2.035
O 5.485 1.973 4.432
O 4.848 6.097 1.383
O 3.859 3.633 9.004
O 4.046 7.838 3.000
O 6.392 0.167 5.908
O 5.698 0.160 8.855
O 4.944 8.572 0.741
O 5.093 4.294 6.989
O 6.126 4.352 3.968
O 8.174 1.446 0.672
O 7.424 -3.121 9.650
O 7.732 0.852 3.980
O 7.727 3.971 0.522
O 6.131 2.620 8.501
! **Electronic total energy**: -6.42 eV per atom
! **Energy with MP2020 corrections**: -0.52398 Ry/atom
! **Calculated formation energy**: -2184.2 meV/atom
! **V**: 1092 Å³ per cell


! LiNiPO4 | the Materials Project | PBE with a Hubbard U | relaxed; values from VASP
&SYSTEM
  ibrav = 0, nat = 28, ntyp = 4
/
ATOMIC_SPECIES
Li 6.94 Li.upf
Ni 58.69 Ni.upf
P 30.97 P.upf
O 16.00 O.upf
CELL_PARAMETERS angstrom
5.655 0.000 0.000
0.000 5.655 0.000
0.000 0.000 7.990
ATOMIC_POSITIONS angstrom
Li 0.000 1.292 0.000
Li 0.000 4.363 3.995
Li 1.292 0.000 1.998
Li 4.363 0.000 5.993
Ni 1.346 2.827 1.998
Ni 2.827 1.346 0.000
Ni 2.827 4.309 3.995
Ni 4.309 2.827 5.993
P 1.434 1.434 4.994
P 1.434 4.221 6.991
P 4.221 1.434 2.996
P 4.221 4.221 0.999
O 0.163 1.437 5.887
O 0.163 4.218 6.098
O 1.437 0.163 4.100
O 1.438 2.724 4.078
O 1.438 2.931 7.907
O 1.437 5.492 7.885
O 2.724 1.438 5.910
O 2.724 4.217 6.075
O 2.931 1.438 2.080
O 2.931 4.217 1.915
O 4.218 0.163 3.890
O 4.217 2.724 3.912
O 4.217 2.931 0.083
O 4.218 5.492 0.105
O 5.492 1.437 2.103
O 5.492 4.218 1.892
! **Electronic total energy**: -6.23 eV per atom
! **Energy with MP2020 corrections**: -0.51349 Ry/atom
! **Calculated formation energy**: -2287.2 meV/atom
! **V**: 256 Å³ per cell
! **Distance to the lowest polymorph of the same formula**: 78.1 meV/atom


- What is the electronic total energy in the first record?
  -6.31 eV per atom


- Which value of electronic total energy does entry 5 give?
  -6.33 eV per atom


- Which of these has the lowest energy with MP2020 corrections?
  Li2Ni4P4O15